[1]
The following is a PBE-GGA calculation of a relaxed LaU3Al8 crystal, from the Materials Project.

Cell and atoms, written as CIF:
```
data_LaU3Al8
_cell_length_a 5.5555
_cell_length_b 5.5555
_cell_length_c 26.5330
_cell_angle_alpha 90.00
_cell_angle_beta 90.00
_cell_angle_gamma 120.00
_space_group_name_H-M_alt 'R 3 m'
_space_group_IT_number 160
_space_group_name_Hall 'R 3 -2"'
loop_
_atom_site_label
_atom_site_type_symbol
_atom_site_fract_x
_atom_site_fract_y
_atom_site_fract_z
La1 La 0.0000 0.0000 0.0000
U1 U 0.0000 0.0000 0.1235
U2 U 0.0000 0.0000 0.5107
U3 U 0.0000 0.0000 0.6052
Al1 Al 0.0000 0.0000 0.3095
Al2 Al 0.0000 0.0000 0.8108
Al3 Al 0.0019 0.5010 0.0627
Al4 Al 0.1677 0.3353 0.8921
```

Output
The value obtained for the raw total energy is -214.12 eV for the cell shown. As for the energy of formation: -0.217 eV/atom.

***

[2]
The following is a PBE-GGA calculation of a relaxed In crystal, from the Materials Project.

Cell and atoms, written as CIF:
```
data_In
_cell_length_a 4.796
_cell_length_b 4.796
_cell_length_c 4.796
_cell_angle_alpha 90.00
_cell_angle_beta 90.00
_cell_angle_gamma 90.00
_space_group_name_H-M_alt 'F m -3 m'
_space_group_IT_number 225
_space_group_name_Hall '-F 4 2 3'
loop_
_atom_site_label
_atom_site_type_symbol
_atom_site_fract_x
_atom_site_fract_y
_atom_site_fract_z
In1 In 0.000 0.000 0.000
```

Output
The calculation puts the polymorph energy (0 for the lowest one) at 37 meV per atom. The value obtained for the raw total energy is -10.86 eV for the cell shown. As for the energy of formation: 0.037 eV/atom.